VASP calculation (PBE) on a geometry-optimized GdZr6P9O36 structure.

```
data_GdZr6P9O36
_cell_length_a 8.9309
_cell_length_b 8.9309
_cell_length_c 23.1373
_cell_angle_alpha 90.00
_cell_angle_beta 90.00
_cell_angle_gamma 120.00
_symmetry_space_group_name_H-M 'P -3 c 1'
_symmetry_Int_Tables_number 165
_symmetry_space_group_name_Hall '-P 3 2"c'
loop_
_atom_site_label
_atom_site_fract_x
_atom_site_fract_y
_atom_site_fract_z
_atom_site_occupancy
Gd1 0.0000 0.0000 0.0000 1
Zr1 0.0000 0.0000 0.1498 1
Zr2 0.3333 0.6667 0.0264 1
Zr3 0.3333 0.6667 0.3130 1
P1 0.0000 0.2924 0.2500 1
P2 0.0527 0.3736 0.9208 1
O1 0.0064 0.1768 0.9202 1
O2 0.0303 0.2049 0.1963 1
O3 0.1165 0.4931 0.5727 1
O4 0.1431 0.4647 0.8647 1
O5 0.1593 0.4685 0.2601 1
O6 0.1722 0.4527 0.9733 1
```

The crystal system is trigonal. The value obtained for the total moment is 7.00 μB per formula unit. The total energy is -8.381 eV/atom. The value obtained for the formation energy is -3237 meV per atom.